Entry 1:
Computed, not measured: a geometry-optimized Li2Mn2P2O9 structure at the GGA+U level of DFT.

CIF file:
```
data_Li2Mn2P2O9
_cell_length_a 8.432
_cell_length_b 5.636
_cell_length_c 15.345
_cell_angle_alpha 90.00
_cell_angle_beta 90.00
_cell_angle_gamma 90.00
_symmetry_space_group_name_H-M 'P n m a'
_symmetry_Int_Tables_number 62
_symmetry_space_group_name_Hall '-P 2ac 2n'
loop_
_atom_site_label
_atom_site_type_symbol
_atom_site_fract_x
_atom_site_fract_y
_atom_site_fract_z
_atom_site_occupancy
Li1 Li 0.038 0.250 0.240 1
Li2 Li 0.189 0.250 0.865 1
Mn1 Mn 0.000 0.000 0.500 1
Mn2 Mn 0.205 0.250 0.068 1
P1 P 0.173 0.750 0.918 1
P2 P 0.202 0.250 0.664 1
O1 O 0.009 0.750 0.964 1
O2 O 0.067 0.250 0.589 1
O3 O 0.068 0.750 0.573 1
O4 O 0.117 0.250 0.750 1
O5 O 0.165 0.750 0.820 1
O6 O 0.194 0.524 0.151 1
O7 O 0.240 0.017 0.451 1
```

Properties
For the density, the calculation gives 3.0 g/cm³. The value obtained for the total magnetization is 0.53 μB per atom. The energy above the most stable polymorph in this dataset is 0.008 eV/atom. The calculation puts the formation energy at -2.4265 eV per atom.

---

Entry 2:
Computed, not measured: a geometry-optimized LiMnP2O8 structure at the GGA+U level of DFT.

CIF file:
```
data_LiMnP2O8
_cell_length_a 8.944
_cell_length_b 4.704
_cell_length_c 13.580
_cell_angle_alpha 90.00
_cell_angle_beta 98.27
_cell_angle_gamma 90.00
_symmetry_space_group_name_H-M 'C 1 2/c 1'
_symmetry_Int_Tables_number 15
_symmetry_space_group_name_Hall '-C 2yc'
loop_
_atom_site_label
_atom_site_type_symbol
_atom_site_fract_x
_atom_site_fract_y
_atom_site_fract_z
_atom_site_occupancy
Li1 Li 0.000 0.044 0.250 1
Mn1 Mn 0.000 0.000 0.000 1
P1 P 0.153 0.476 0.889 1
O1 O 0.060 0.192 0.883 1
O2 O 0.105 0.333 0.470 1
O3 O 0.135 0.389 0.285 1
O4 O 0.179 0.116 0.085 1
```

Properties
For the density, the calculation gives 3.0 g/cm³. The value obtained for the total magnetization is 0.33 μB per atom. The calculation puts the formation energy at -2.2694 eV per atom.

---

Entry 3:
Computed, not measured: a geometry-optimized LiMn4P3O12 structure at the GGA+U level of DFT.

CIF file:
```
data_LiMn4P3O12
_cell_length_a 10.166
_cell_length_b 6.590
_cell_length_c 15.969
_cell_angle_alpha 90.00
_cell_angle_beta 90.00
_cell_angle_gamma 90.00
_symmetry_space_group_name_H-M 'P n m a'
_symmetry_Int_Tables_number 62
_symmetry_space_group_name_Hall '-P 2ac 2n'
loop_
_atom_site_label
_atom_site_type_symbol
_atom_site_fract_x
_atom_site_fract_y
_atom_site_fract_z
_atom_site_occupancy
Li1 Li 0.242 0.250 0.212 1
Mn1 Mn 0.035 0.750 0.132 1
Mn2 Mn 0.072 0.250 0.626 1
Mn3 Mn 0.245 0.000 0.447 1
P1 P 0.027 0.250 0.063 1
P2 P 0.051 0.750 0.556 1
P3 P 0.204 0.750 0.274 1
O1 O 0.050 0.750 0.270 1
O2 O 0.056 0.061 0.115 1
O3 O 0.100 0.750 0.461 1
O4 O 0.102 0.250 0.447 1
O5 O 0.110 0.560 0.598 1
O6 O 0.115 0.250 0.980 1
O7 O 0.121 0.750 0.970 1
O8 O 0.242 0.750 0.180 1
O9 O 0.244 0.054 0.817 1
```

Properties
For the density, the calculation gives 3.2 g/cm³. The value obtained for the total magnetization is 1.00 μB per atom. The energy above the most stable polymorph in this dataset is 0.029 eV/atom. The calculation puts the formation energy at -2.5225 eV per atom.

---

Entry 4:
Computed, not measured: a geometry-optimized Li3Mn3P4O16 structure at the GGA+U level of DFT.

CIF file:
```
data_Li3Mn3P4O16
_cell_length_a 7.662
_cell_length_b 8.129
_cell_length_c 10.067
_cell_angle_alpha 89.96
_cell_angle_beta 86.91
_cell_angle_gamma 88.92
_symmetry_space_group_name_H-M 'P 1'
_symmetry_Int_Tables_number 1
_symmetry_space_group_name_Hall 'P 1'
loop_
_atom_site_label
_atom_site_type_symbol
_atom_site_fract_x
_atom_site_fract_y
_atom_site_fract_z
_atom_site_occupancy
Li1 Li 0.000 0.000 0.000 1
Li2 Li 0.009 0.005 0.499 1
Li3 Li 0.181 0.271 0.402 1
Li4 Li 0.511 0.771 0.751 1
Li5 Li 0.687 0.503 0.654 1
Li6 Li 0.696 0.497 0.154 1
Mn1 Mn 0.069 0.631 0.453 1
Mn2 Mn 0.092 0.649 0.954 1
Mn3 Mn 0.191 0.283 0.892 1
Mn4 Mn 0.499 0.784 0.260 1
Mn5 Mn 0.603 0.147 0.200 1
Mn6 Mn 0.623 0.130 0.700 1
P1 P 0.288 0.454 0.191 1
P2 P 0.289 0.456 0.678 1
P3 P 0.409 0.957 0.476 1
P4 P 0.414 0.955 0.962 1
P5 P 0.785 0.321 0.437 1
P6 P 0.789 0.335 0.935 1
P7 P 0.899 0.837 0.218 1
P8 P 0.904 0.822 0.717 1
O1 O 0.048 0.785 0.113 1
O2 O 0.052 0.767 0.610 1
O3 O 0.136 0.507 0.290 1
O4 O 0.143 0.491 0.799 1
O5 O 0.195 0.447 0.548 1
O6 O 0.212 0.457 0.047 1
O7 O 0.254 0.078 0.967 1
O8 O 0.255 0.074 0.479 1
O9 O 0.342 0.276 0.730 1
O10 O 0.352 0.280 0.225 1
O11 O 0.355 0.783 0.928 1
O12 O 0.358 0.780 0.425 1
O13 O 0.437 0.571 0.676 1
O14 O 0.440 0.578 0.187 1
O15 O 0.486 0.960 0.106 1
O16 O 0.504 0.948 0.606 1
O17 O 0.551 0.991 0.354 1
O18 O 0.561 0.010 0.863 1
O19 O 0.641 0.261 0.543 1
O20 O 0.648 0.278 0.041 1
O21 O 0.695 0.325 0.299 1
O22 O 0.715 0.323 0.795 1
O23 O 0.744 0.718 0.214 1
O24 O 0.753 0.707 0.725 1
O25 O 0.827 0.499 0.475 1
O26 O 0.841 0.013 0.179 1
O27 O 0.841 0.508 0.974 1
O28 O 0.856 0.002 0.679 1
O29 O 0.943 0.207 0.428 1
O30 O 0.955 0.218 0.936 1
O31 O 0.976 0.828 0.358 1
O32 O 0.996 0.830 0.854 1
```

Properties
For the density, the calculation gives 3.0 g/cm³. The value obtained for the total magnetization is 0.31 μB per atom. The energy above the most stable polymorph in this dataset is 0.097 eV/atom. The calculation puts the formation energy at -2.4380 eV per atom.

---

Entry 5:
Computed, not measured: a geometry-optimized LiMnPO4 structure at the GGA+U level of DFT.

CIF file:
```
data_LiMnPO4
_cell_length_a 5.764
_cell_length_b 11.315
_cell_length_c 9.471
_cell_angle_alpha 90.00
_cell_angle_beta 90.00
_cell_angle_gamma 90.00
_symmetry_space_group_name_H-M 'F d d 2'
_symmetry_Int_Tables_number 43
_symmetry_space_group_name_Hall 'F 2 -2d'
loop_
_atom_site_label
_atom_site_type_symbol
_atom_site_fract_x
_atom_site_fract_y
_atom_site_fract_z
_atom_site_occupancy
Li1 Li 0.000 0.000 0.000 1
Mn1 Mn 0.000 0.000 0.623 1
P1 P 0.000 0.000 0.305 1
O1 O 0.087 0.324 0.459 1
O2 O 0.104 0.173 0.660 1
```

Properties
For the density, the calculation gives 3.4 g/cm³. The calculation puts the maximum piezoelectric response at 1.26 C/m². The value obtained for the total magnetization is 0.71 μB per atom. The energy above the most stable polymorph in this dataset is 0.050 eV/atom. The calculation puts the formation energy at -2.5837 eV per atom.

---

Entry 6:
Computed, not measured: a geometry-optimized LiMnPO4 structure at the GGA+U level of DFT.

CIF file:
```
data_LiMnPO4
_cell_length_a 10.254
_cell_length_b 5.158
_cell_length_c 13.932
_cell_angle_alpha 90.00
_cell_angle_beta 90.00
_cell_angle_gamma 90.00
_symmetry_space_group_name_H-M 'P c a 21'
_symmetry_Int_Tables_number 29
_symmetry_space_group_name_Hall 'P 2c -2ac'
loop_
_atom_site_label
_atom_site_type_symbol
_atom_site_fract_x
_atom_site_fract_y
_atom_site_fract_z
_atom_site_occupancy
Li1 Li 0.031 0.071 0.000 1
Li2 Li 0.222 0.447 0.249 1
Mn1 Mn 0.034 0.941 0.251 1
Mn2 Mn 0.216 0.443 0.500 1
P1 P 0.032 0.565 0.874 1
P2 P 0.216 0.947 0.626 1
O1 O 0.002 0.862 0.879 1
O2 O 0.026 0.565 0.466 1
O3 O 0.035 0.545 0.282 1
O4 O 0.067 0.004 0.623 1
O5 O 0.181 0.511 0.872 1
O6 O 0.221 0.068 0.034 1
O7 O 0.224 0.069 0.218 1
O8 O 0.244 0.650 0.627 1
```

Properties
For the density, the calculation gives 2.8 g/cm³. The value obtained for the total magnetization is 0.00 μB per atom. The energy above the most stable polymorph in this dataset is 0.011 eV/atom. The calculation puts the formation energy at -2.6227 eV per atom.